Entry 1:
Here is an optimized crystal structure of TiN from Materials Project. Energies are from PBE-GGA.

Unit cell a=3.008 b=3.008 c=3.008 alpha=60.00 beta=60.00 gamma=60.00
Positions (direct):
Ti (0.000, 0.000, 0.000)
N (0.500, 0.500, 0.500)

Output
As for the total energy: -9.832 eV per atom. The space group is Fm-3m, No. 225.

Entry 2:
Here is an optimized crystal structure of CsMg14Sb from Materials Project. Energies are from PBE-GGA.

Unit cell a=6.513 b=6.513 c=11.123 alpha=90.00 beta=90.00 gamma=120.00
Positions (direct):
Cs (0.000, 0.000, 0.000)
Mg (0.004, 0.502, 0.000)
Mg (0.171, 0.341, 0.264)
Mg (0.171, 0.341, 0.736)
Mg (0.171, 0.829, 0.264)
Mg (0.171, 0.829, 0.736)
Mg (0.498, 0.502, 0.000)
Mg (0.498, 0.996, 0.000)
Mg (0.503, 0.006, 0.500)
Mg (0.503, 0.497, 0.500)
Mg (0.659, 0.829, 0.264)
Mg (0.659, 0.829, 0.736)
Mg (0.667, 0.333, 0.244)
Mg (0.667, 0.333, 0.756)
Mg (0.994, 0.497, 0.500)
Sb (0.000, 0.000, 0.500)

Output
The calculation puts the energy relative to the lowest polymorph listed for this composition at 43 meV/atom. As for the total energy: -1.564 eV per atom. The space group is P-6m2, No. 187.

Entry 3:
Here is an optimized crystal structure of LiCeCu2P2 from Materials Project. Energies are from PBE-GGA.

Unit cell a=4.014 b=4.014 c=6.739 alpha=90.00 beta=90.00 gamma=120.00
Positions (direct):
Li (0.000, 0.000, 0.000)
Ce (0.000, 0.000, 0.500)
Cu (0.333, 0.667, 0.839)
Cu (0.667, 0.333, 0.161)
P (0.333, 0.667, 0.231)
P (0.667, 0.333, 0.769)

Output
As for the total energy: -5.258 eV per atom. The space group is P-3m1, No. 164.

Entry 4:
Here is an optimized crystal structure of EuGa3Ni2 from Materials Project. Energies are from PBE-GGA.

Unit cell a=6.381 b=6.381 c=5.153 alpha=90.00 beta=90.00 gamma=75.58
Positions (direct):
Eu (0.162, 0.838, 0.750)
Eu (0.838, 0.162, 0.250)
Ga (0.026, 0.591, 0.250)
Ga (0.409, 0.974, 0.250)
Ga (0.439, 0.561, 0.250)
Ga (0.561, 0.439, 0.750)
Ga (0.591, 0.026, 0.750)
Ga (0.974, 0.409, 0.750)
Ni (0.299, 0.299, 0.000)
Ni (0.299, 0.299, 0.500)
Ni (0.701, 0.701, 0.000)
Ni (0.701, 0.701, 0.500)

Output
As for the total energy: -5.668 eV per atom. The space group is Cmcm, No. 63.

Entry 5:
Here is an optimized crystal structure of SrPrMgBiO6 from Materials Project. Energies are from PBE-GGA.

Unit cell a=5.784 b=5.784 c=5.784 alpha=60.00 beta=60.00 gamma=60.00
Positions (direct):
Sr (0.000, 0.000, 0.000)
Pr (0.500, 0.500, 0.500)
Mg (0.250, 0.250, 0.250)
Bi (0.750, 0.750, 0.750)
O (0.004, 0.004, 0.496)
O (0.004, 0.496, 0.004)
O (0.004, 0.496, 0.496)
O (0.496, 0.004, 0.004)
O (0.496, 0.004, 0.496)
O (0.496, 0.496, 0.004)

Output
As for the total energy: -6.326 eV per atom. The space group is F-43m, No. 216.

Entry 6:
Here is an optimized crystal structure of AlMo3 from Materials Project. Energies are from PBE-GGA.

Unit cell a=4.979 b=4.979 c=4.979 alpha=90.00 beta=90.00 gamma=90.00
Positions (direct):
Al (0.000, 0.000, 0.000)
Al (0.500, 0.500, 0.500)
Mo (0.000, 0.250, 0.500)
Mo (0.000, 0.750, 0.500)
Mo (0.250, 0.500, 0.000)
Mo (0.500, 0.000, 0.250)
Mo (0.500, 0.000, 0.750)
Mo (0.750, 0.500, 0.000)

Output
As for the total energy: -9.315 eV per atom. The space group is Pm-3n, No. 223.

Entry 7:
Here is an optimized crystal structure of MoPt3 from Materials Project. Energies are from PBE-GGA.

Unit cell a=3.980 b=3.980 c=3.980 alpha=90.00 beta=90.00 gamma=90.00
Positions (direct):
Mo (0.000, 0.000, 0.000)
Pt (0.000, 0.500, 0.500)
Pt (0.500, 0.000, 0.500)
Pt (0.500, 0.500, 0.000)

Output
As for the total energy: -7.385 eV per atom. The space group is Pm-3m, No. 221.

Entry 8:
Here is an optimized crystal structure of MnFeSeS from Materials Project. Energies are from PBE-GGA.

Unit cell a=5.804 b=5.804 c=5.804 alpha=34.57 beta=34.57 gamma=34.57
Positions (direct):
Mn (0.000, 0.000, 0.000)
Fe (0.558, 0.558, 0.558)
Se (0.779, 0.779, 0.779)
S (0.281, 0.281, 0.281)

Output
As for the total energy: -6.366 eV per atom. The space group is R3m, No. 160.

Entry 9:
Here is an optimized crystal structure of Sb2C3N6 from Materials Project. Energies are from PBE-GGA.

Unit cell a=10.467 b=10.467 c=10.467 alpha=38.38 beta=38.38 gamma=38.38
Positions (direct):
Sb (0.165, 0.165, 0.165)
Sb (0.335, 0.335, 0.335)
Sb (0.665, 0.665, 0.665)
Sb (0.835, 0.835, 0.835)
C (0.005, 0.750, 0.495)
C (0.250, 0.505, 0.995)
C (0.495, 0.005, 0.750)
C (0.505, 0.995, 0.250)
C (0.750, 0.495, 0.005)
C (0.995, 0.250, 0.505)
N (0.011, 0.336, 0.528)
N (0.028, 0.836, 0.511)
N (0.164, 0.489, 0.972)
N (0.336, 0.528, 0.011)
N (0.472, 0.989, 0.664)
N (0.489, 0.972, 0.164)
N (0.511, 0.028, 0.836)
N (0.528, 0.011, 0.336)
N (0.664, 0.472, 0.989)
N (0.836, 0.511, 0.028)
N (0.972, 0.164, 0.489)
N (0.989, 0.664, 0.472)

Output
The calculation puts the energy relative to the lowest polymorph listed for this composition at 0 meV/atom. As for the total energy: -7.518 eV per atom. The space group is R-3c, No. 167.

Entry 10:
Here is an optimized crystal structure of Cs2Hg6S7 from Materials Project. Energies are from PBE-GGA.

Unit cell a=14.360 b=14.360 c=4.262 alpha=90.00 beta=90.00 gamma=90.00
Positions (direct):
Cs (0.170, 0.170, 0.000)
Cs (0.330, 0.670, 0.500)
Cs (0.670, 0.330, 0.500)
Cs (0.830, 0.830, 0.000)
Hg (0.072, 0.654, 0.001)
Hg (0.098, 0.902, 0.593)
Hg (0.154, 0.428, 0.501)
Hg (0.346, 0.928, 0.001)
Hg (0.402, 0.402, 0.093)
Hg (0.428, 0.154, 0.501)
Hg (0.572, 0.846, 0.501)
Hg (0.598, 0.598, 0.093)
Hg (0.654, 0.072, 0.001)
Hg (0.846, 0.572, 0.501)
Hg (0.902, 0.098, 0.593)
Hg (0.928, 0.346, 0.001)
S (0.000, 0.000, 0.275)
S (0.024, 0.309, 0.502)
S (0.182, 0.818, 0.990)
S (0.191, 0.524, 0.002)
S (0.309, 0.024, 0.502)
S (0.318, 0.318, 0.490)
S (0.476, 0.809, 0.002)
S (0.500, 0.500, 0.775)
S (0.524, 0.191, 0.002)
S (0.682, 0.682, 0.490)
S (0.691, 0.976, 0.502)
S (0.809, 0.476, 0.002)
S (0.818, 0.182, 0.990)
S (0.976, 0.691, 0.502)

Output
As for the total energy: -2.568 eV per atom. The space group is P4_2nm, No. 102.

Entry 11:
Here is an optimized crystal structure of YMgS3 from Materials Project. Energies are from PBE-GGA.

Unit cell a=6.924 b=6.924 c=6.788 alpha=106.29 beta=106.29 gamma=111.76
Positions (direct):
Y (0.219, 0.219, 0.252)
Y (0.781, 0.781, 0.748)
Mg (0.340, 0.660, 0.000)
Mg (0.660, 0.340, 0.000)
S (0.073, 0.772, 0.147)
S (0.228, 0.927, 0.853)
S (0.418, 0.418, 0.709)
S (0.582, 0.582, 0.291)
S (0.772, 0.073, 0.147)
S (0.927, 0.228, 0.853)

Output
The calculation puts the energy relative to the lowest polymorph listed for this composition at 0 meV/atom. As for the total energy: -5.353 eV per atom. The space group is C2/m, No. 12.

Entry 12:
Here is an optimized crystal structure of Li4CO4 from Materials Project. Energies are from PBE-GGA.

Unit cell a=4.184 b=4.184 c=4.184 alpha=91.62 beta=91.62 gamma=91.62
Positions (direct):
Li (0.000, 0.000, 0.000)
Li (0.026, 0.457, 0.457)
Li (0.457, 0.026, 0.457)
Li (0.457, 0.457, 0.026)
C (0.713, 0.713, 0.713)
O (0.507, 0.507, 0.507)
O (0.522, 0.911, 0.911)
O (0.911, 0.522, 0.911)
O (0.911, 0.911, 0.522)

Output
As for the total energy: -5.633 eV per atom. Its largest piezoelectric modulus is 33.35 C/m2. The space group is R3m, No. 160.